This record from the Materials Project describes a geometry-optimized Na2MgGe3P4S2O24 structure. The functional is GGA-PBE.

Summary:
Magnetic moment (μB per atom): 0.00
E_form (eV per formula unit): -84.5
Crystal system: triclinic

```
data_Na2MgGe3P4S2O24
_chemical_formula_sum 'Na6 Mg3 Ge9 P12 S6 O72'
_cell_length_a 8.402
_cell_length_b 8.409
_cell_length_c 21.939
_cell_angle_alpha 90.21
_cell_angle_beta 90.11
_cell_angle_gamma 119.87
_space_group_name_H-M_alt 'P 1'
_space_group_IT_number 1
_space_group_name_Hall 'P 1'
loop_
_atom_site_label
_atom_site_type_symbol
_atom_site_fract_x
_atom_site_fract_y
_atom_site_fract_z
Na1 Na 0.000 0.000 0.000
Na2 Na 0.003 0.003 0.495
Na3 Na 0.326 0.665 0.328
Na4 Na 0.337 0.670 0.831
Na5 Na 0.662 0.334 0.664
Na6 Na 0.667 0.338 0.167
Mg1 Mg 0.334 0.665 0.981
Mg2 Mg 0.663 0.333 0.807
Mg3 Mg 0.669 0.334 0.308
Ge1 Ge 0.003 0.994 0.640
Ge2 Ge 0.006 0.998 0.142
Ge3 Ge 0.022 0.016 0.347
Ge4 Ge 0.324 0.660 0.180
Ge5 Ge 0.327 0.666 0.478
Ge6 Ge 0.342 0.676 0.681
Ge7 Ge 0.665 0.324 0.515
Ge8 Ge 0.665 0.332 0.023
Ge9 Ge 0.997 0.989 0.847
P1 P 0.004 0.716 0.245
P2 P 0.043 0.372 0.079
P3 P 0.044 0.662 0.580
P4 P 0.285 0.995 0.744
P5 P 0.289 0.292 0.244
P6 P 0.332 0.953 0.079
P7 P 0.335 0.381 0.580
P8 P 0.379 0.042 0.413
P9 P 0.623 0.955 0.579
P10 P 0.625 0.671 0.080
P11 P 0.713 0.716 0.744
P12 P 0.957 0.332 0.413
S1 S 0.005 0.288 0.745
S2 S 0.374 0.330 0.912
S3 S 0.667 0.625 0.414
S4 S 0.670 0.045 0.912
S5 S 0.713 0.996 0.245
S6 S 0.956 0.622 0.912
O1 O 0.015 0.178 0.090
O2 O 0.026 0.836 0.586
O3 O 0.043 0.211 0.801
O4 O 0.043 0.837 0.304
O5 O 0.118 0.493 0.137
O6 O 0.125 0.624 0.638
O7 O 0.140 0.648 0.918
O8 O 0.153 0.443 0.022
O9 O 0.153 0.502 0.423
O10 O 0.161 0.189 0.587
O11 O 0.164 0.955 0.803
O12 O 0.165 0.706 0.523
O13 O 0.165 0.981 0.088
O14 O 0.168 0.218 0.303
O15 O 0.174 0.470 0.740
O16 O 0.182 0.018 0.408
O17 O 0.185 0.708 0.238
O18 O 0.186 0.158 0.906
O19 O 0.196 0.170 0.188
O20 O 0.198 0.033 0.687
O21 O 0.293 0.814 0.738
O22 O 0.296 0.462 0.523
O23 O 0.296 0.846 0.022
O24 O 0.302 0.483 0.238
O25 O 0.351 0.490 0.918
O26 O 0.359 0.849 0.423
O27 O 0.373 0.499 0.638
O28 O 0.375 0.876 0.138
O29 O 0.452 0.293 0.969
O30 O 0.455 0.162 0.473
O31 O 0.472 0.160 0.750
O32 O 0.473 0.307 0.250
O33 O 0.482 0.355 0.858
O34 O 0.490 0.118 0.357
O35 O 0.499 0.642 0.422
O36 O 0.504 0.628 0.138
O37 O 0.504 0.879 0.637
O38 O 0.506 0.150 0.074
O39 O 0.508 0.362 0.572
O40 O 0.512 0.862 0.918
O41 O 0.520 0.700 0.738
O42 O 0.531 0.826 0.240
O43 O 0.540 0.832 0.523
O44 O 0.554 0.706 0.022
O45 O 0.632 0.515 0.360
O46 O 0.641 0.146 0.573
O47 O 0.647 0.129 0.857
O48 O 0.647 0.496 0.074
O49 O 0.695 0.157 0.251
O50 O 0.697 0.531 0.750
O51 O 0.704 0.547 0.471
O52 O 0.707 0.159 0.968
O53 O 0.790 0.838 0.803
O54 O 0.793 0.960 0.302
O55 O 0.815 0.976 0.587
O56 O 0.818 0.839 0.090
O57 O 0.826 0.027 0.190
O58 O 0.831 0.811 0.409
O59 O 0.832 0.806 0.687
O60 O 0.838 0.529 0.250
O61 O 0.841 0.295 0.473
O62 O 0.842 0.546 0.968
O63 O 0.843 0.306 0.751
O64 O 0.846 0.031 0.907
O65 O 0.848 0.353 0.073
O66 O 0.852 0.493 0.572
O67 O 0.872 0.516 0.857
O68 O 0.883 0.372 0.357
O69 O 0.969 0.802 0.188
O70 O 0.970 0.812 0.908
O71 O 0.971 0.174 0.689
O72 O 0.976 0.156 0.407
```